Entry 1:
## Ba2Mg2Tl2Cu3O10 (PBE)

Data for an optimized crystal structure of Ba2Mg2Tl2Cu3O10.

Output
total DFT energy (no corrections): -5.285 eV per atom

a = 3.766 Å, b = 3.799 Å, c = 18.747 Å
α = 84.47°, β = 85.60°, γ = 89.96°
Space group P1 (No. 1)
Unique sites:
1 Ba 0.000 0.000 0.000 (multiplicity 1)
2 Ba 0.338 0.297 0.446 (multiplicity 1)
3 Mg 0.085 0.070 0.810 (multiplicity 1)
4 Mg 0.237 0.192 0.637 (multiplicity 1)
5 Tl 0.441 0.397 0.159 (multiplicity 1)
6 Tl 0.894 0.838 0.288 (multiplicity 1)
7 Cu 0.548 0.549 0.880 (multiplicity 1)
8 Cu 0.689 0.607 0.723 (multiplicity 1)
9 Cu 0.787 0.733 0.566 (multiplicity 1)
10 O 0.042 0.549 0.895 (multiplicity 1)
11 O 0.180 0.579 0.745 (multiplicity 1)
12 O 0.281 0.722 0.583 (multiplicity 1)
13 O 0.400 0.465 0.273 (multiplicity 1)
14 O 0.483 0.488 0.046 (multiplicity 1)
15 O 0.557 0.056 0.865 (multiplicity 1)
16 O 0.720 0.116 0.702 (multiplicity 1)
17 O 0.804 0.241 0.551 (multiplicity 1)
18 O 0.854 0.825 0.401 (multiplicity 1)
19 O 0.936 0.010 0.174 (multiplicity 1)

Entry 2:
## Ba2YMgTlCu2O7 (PBE)

Data for an optimized crystal structure of Ba2YMgTlCu2O7.

Output
total DFT energy (no corrections): -5.802 eV per atom

a = 3.763 Å, b = 4.020 Å, c = 15.058 Å
α = 90.00°, β = 90.00°, γ = 90.00°
Space group Pmm2 (No. 25)
Unique sites:
1 Ba 0.000 0.000 0.000 (multiplicity 1)
2 Ba 0.000 0.000 0.332 (multiplicity 1)
3 Y 0.000 0.000 0.583 (multiplicity 1)
4 Mg 0.000 0.500 0.819 (multiplicity 1)
5 Tl 0.500 0.500 0.155 (multiplicity 1)
6 Cu 0.500 0.500 0.474 (multiplicity 1)
7 Cu 0.500 0.500 0.681 (multiplicity 1)
8 O 0.000 0.000 0.153 (multiplicity 1)
9 O 0.000 0.500 0.499 (multiplicity 1)
10 O 0.000 0.500 0.690 (multiplicity 1)
11 O 0.500 0.000 0.481 (multiplicity 1)
12 O 0.500 0.000 0.672 (multiplicity 1)
13 O 0.500 0.500 0.301 (multiplicity 1)
14 O 0.500 0.500 0.883 (multiplicity 1)

Entry 3:
## Ba2TmMgCu4O8 (PBE)

Data for an optimized crystal structure of Ba2TmMgCu4O8.

Output
total DFT energy (no corrections): -5.773 eV per atom

a = 3.959 Å, b = 3.739 Å, c = 15.111 Å
α = 90.00°, β = 96.76°, γ = 90.00°
Space group P2/m (No. 10)
Unique sites:
1 Ba 0.113 0.000 0.246 (multiplicity 2)
2 Tm 0.000 0.000 0.000 (multiplicity 1)
3 Mg 0.000 0.000 0.500 (multiplicity 1)
4 Cu 0.340 0.500 0.592 (multiplicity 2)
5 Cu 0.449 0.500 0.895 (multiplicity 2)
6 O 0.047 0.500 0.096 (multiplicity 2)
7 O 0.201 0.500 0.446 (multiplicity 2)
8 O 0.374 0.500 0.717 (multiplicity 2)
9 O 0.455 0.000 0.907 (multiplicity 2)

Entry 4:
## Ba2YMgCu4O8 (PBE)

Data for an optimized crystal structure of Ba2YMgCu4O8.

Output
relative energy among the computed polymorphs: 0.00 eV/f.u.

a = 4.049 Å, b = 3.733 Å, c = 14.932 Å
α = 90.00°, β = 96.78°, γ = 90.00°
Space group P2/m (No. 10)
Unique sites:
1 Ba 0.115 0.000 0.247 (multiplicity 2)
2 Y 0.000 0.000 0.000 (multiplicity 1)
3 Mg 0.000 0.000 0.500 (multiplicity 1)
4 Cu 0.341 0.500 0.590 (multiplicity 2)
5 Cu 0.448 0.500 0.891 (multiplicity 2)
6 O 0.048 0.500 0.101 (multiplicity 2)
7 O 0.209 0.500 0.449 (multiplicity 2)
8 O 0.370 0.500 0.714 (multiplicity 2)
9 O 0.455 0.000 0.905 (multiplicity 2)

Entry 5:
## Ba2YMgCu4O8 (PBE)

Data for an optimized crystal structure of Ba2YMgCu4O8.

Output
relative energy among the computed polymorphs: 0.71 eV/f.u.

a = 3.808 Å, b = 4.034 Å, c = 16.032 Å
α = 90.00°, β = 96.44°, γ = 90.00°
Space group Pm (No. 6)
Unique sites:
1 Ba 0.000 0.000 0.000 (multiplicity 1)
2 Ba 0.215 0.000 0.453 (multiplicity 1)
3 Y 0.101 0.000 0.222 (multiplicity 1)
4 Mg 0.893 0.500 0.829 (multiplicity 1)
5 Cu 0.336 0.500 0.704 (multiplicity 1)
6 Cu 0.552 0.500 0.120 (multiplicity 1)
7 Cu 0.647 0.500 0.317 (multiplicity 1)
8 Cu 0.776 0.500 0.580 (multiplicity 1)
9 O 0.046 0.500 0.108 (multiplicity 1)
10 O 0.136 0.500 0.295 (multiplicity 1)
11 O 0.275 0.500 0.578 (multiplicity 1)
12 O 0.423 0.500 0.889 (multiplicity 1)
13 O 0.552 0.000 0.119 (multiplicity 1)
14 O 0.640 0.000 0.304 (multiplicity 1)
15 O 0.719 0.500 0.460 (multiplicity 1)
16 O 0.838 0.500 0.709 (multiplicity 1)

Entry 6:
## Ba2YMgCu3O7 (PBE)

Data for an optimized crystal structure of Ba2YMgCu3O7.

Output
relative energy among the computed polymorphs: 0.70 eV/f.u.

a = 3.702 Å, b = 3.979 Å, c = 13.993 Å
α = 90.00°, β = 90.00°, γ = 90.00°
Space group Pmm2 (No. 25)
Unique sites:
1 Ba 0.000 0.000 0.000 (multiplicity 1)
2 Ba 0.000 0.000 0.471 (multiplicity 1)
3 Y 0.000 0.000 0.730 (multiplicity 1)
4 Mg 0.000 0.500 0.282 (multiplicity 1)
5 Cu 0.500 0.500 0.148 (multiplicity 1)
6 Cu 0.500 0.500 0.615 (multiplicity 1)
7 Cu 0.500 0.500 0.848 (multiplicity 1)
8 O 0.000 0.500 0.601 (multiplicity 1)
9 O 0.000 0.500 0.811 (multiplicity 1)
10 O 0.500 0.000 0.183 (multiplicity 1)
11 O 0.500 0.000 0.618 (multiplicity 1)
12 O 0.500 0.000 0.832 (multiplicity 1)
13 O 0.500 0.500 0.009 (multiplicity 1)
14 O 0.500 0.500 0.366 (multiplicity 1)

Entry 7:
## Ba2YMgCu3O7 (PBE)

Data for an optimized crystal structure of Ba2YMgCu3O7.

Output
relative energy among the computed polymorphs: 0.49 eV/f.u.

a = 3.763 Å, b = 13.171 Å, c = 4.163 Å
α = 90.00°, β = 90.00°, γ = 90.00°
Space group Pmm2 (No. 25)
Unique sites:
1 Ba 0.000 0.230 0.000 (multiplicity 2)
2 Y 0.000 0.500 0.023 (multiplicity 1)
3 Mg 0.000 0.000 0.299 (multiplicity 1)
4 Cu 0.500 0.000 0.691 (multiplicity 1)
5 Cu 0.500 0.390 0.521 (multiplicity 2)
6 O 0.000 0.389 0.526 (multiplicity 2)
7 O 0.500 0.000 0.161 (multiplicity 1)
8 O 0.500 0.144 0.634 (multiplicity 2)
9 O 0.500 0.389 0.023 (multiplicity 2)

Entry 8:
## Ba2YMgCu3O7 (PBE)

Data for an optimized crystal structure of Ba2YMgCu3O7.

Output
relative energy among the computed polymorphs: 0.00 eV/f.u.

a = 3.740 Å, b = 3.951 Å, c = 14.519 Å
α = 90.00°, β = 90.00°, γ = 90.00°
Space group Pmm2 (No. 25)
Unique sites:
1 Ba 0.000 0.000 0.000 (multiplicity 1)
2 Ba 0.000 0.000 0.309 (multiplicity 1)
3 Y 0.000 0.000 0.742 (multiplicity 1)
4 Mg 0.000 0.500 0.499 (multiplicity 1)
5 Cu 0.500 0.500 0.157 (multiplicity 1)
6 Cu 0.500 0.500 0.640 (multiplicity 1)
7 Cu 0.500 0.500 0.859 (multiplicity 1)
8 O 0.000 0.500 0.632 (multiplicity 1)
9 O 0.000 0.500 0.831 (multiplicity 1)
10 O 0.500 0.000 0.195 (multiplicity 1)
11 O 0.500 0.000 0.648 (multiplicity 1)
12 O 0.500 0.000 0.848 (multiplicity 1)
13 O 0.500 0.500 0.023 (multiplicity 1)
14 O 0.500 0.500 0.431 (multiplicity 1)

Magnetic moment, record by record: 0.0; 0.0; 0.0; 0.0; 0.4; 0.2; 0.0; 0.0 μB per cell